w:
VASP calculation (PBE) on Ti2O after structural relaxation.

a b c (Å): 10.4530 10.8951 12.2062
angles (deg): 89.34 86.67 88.83
Space group P1 (No. 1)
One atom of each set of equivalent atoms:
Ti 0.0000 0.0000 0.0000
Ti 0.0006 0.9821 0.4486
Ti 0.0323 0.0491 0.2286
Ti 0.0612 0.4834 0.8604
Ti 0.0691 0.4901 0.5258
Ti 0.0707 0.5251 0.0842
Ti 0.0779 0.2754 0.3719
Ti 0.0890 0.7854 0.1242
Ti 0.1326 0.1718 0.8164
Ti 0.1408 0.1719 0.5695
Ti 0.1591 0.2743 0.1364
Ti 0.1684 0.6650 0.7141
Ti 0.1955 0.9091 0.8328
Ti 0.1993 0.8230 0.3599
Ti 0.2207 0.8765 0.5948
Ti 0.2309 0.5006 0.2758
Ti 0.2466 0.4043 0.7130
Ti 0.2467 0.6506 0.9179
Ti 0.2677 0.0859 0.3778
Ti 0.2971 0.6055 0.5085
Ti 0.3019 0.9673 0.1721
Ti 0.3086 0.4026 0.9632
Ti 0.3213 0.3437 0.4635
Ti 0.3480 0.7126 0.1188
Ti 0.3708 0.1588 0.9595
Ti 0.3854 0.0420 0.6395
Ti 0.3964 0.2197 0.1875
Ti 0.4192 0.8074 0.7664
Ti 0.4419 0.9111 0.3716
Ti 0.4512 0.9173 0.9880
Ti 0.4547 0.5664 0.7029
Ti 0.4554 0.6589 0.3296
Ti 0.4883 0.7949 0.5524
Ti 0.4908 0.2921 0.7888
Ti 0.5037 0.5084 0.1387
Ti 0.5283 0.1422 0.4490
Ti 0.5546 0.4907 0.4739
Ti 0.5757 0.0467 0.2318
Ti 0.5797 0.8002 0.1566
Ti 0.5849 0.6680 0.9582
Ti 0.5923 0.3037 0.0100
Ti 0.5976 0.0072 0.7873
Ti 0.6192 0.3206 0.2766
Ti 0.6774 0.8140 0.3797
Ti 0.6811 0.7212 0.7059
Ti 0.6971 0.9600 0.5665
Ti 0.7073 0.4358 0.6849
Ti 0.7176 0.9755 0.9889
Ti 0.7295 0.5898 0.2823
Ti 0.7820 0.4825 0.8847
Ti 0.7829 0.4561 0.0997
Ti 0.7871 0.1986 0.8293
Ti 0.7901 0.1602 0.1284
Ti 0.7913 0.6173 0.4996
Ti 0.8021 0.9337 0.2071
Ti 0.8035 0.1109 0.3607
Ti 0.8298 0.7436 0.0765
Ti 0.8394 0.3403 0.4840
Ti 0.8654 0.1197 0.6063
Ti 0.8719 0.9381 0.7651
Ti 0.9054 0.3132 0.2346
Ti 0.9143 0.5860 0.7077
Ti 0.9367 0.7718 0.3302
Ti 0.9554 0.2853 0.9869
Ti 0.9695 0.3219 0.7114
Ti 0.9756 0.5271 0.3086
Ti 0.9767 0.7359 0.8807
Ti 0.9934 0.7679 0.5672
O 0.0802 0.8356 0.7233
O 0.1324 0.9596 0.1050
O 0.1993 0.0524 0.6948
O 0.2364 0.4368 0.1203
O 0.2592 0.6519 0.3581
O 0.2971 0.2526 0.8280
O 0.3254 0.8153 0.9261
O 0.3381 0.7164 0.6354
O 0.3415 0.1673 0.5176
O 0.3908 0.4547 0.5796
O 0.3967 0.4499 0.8131
O 0.3976 0.5819 0.0079
O 0.5106 0.1407 0.7067
O 0.5279 0.3201 0.4312
O 0.5521 0.0701 0.9439
O 0.5622 0.5051 0.3005
O 0.5941 0.2003 0.1443
O 0.6231 0.5730 0.6052
O 0.6295 0.4871 0.0029
O 0.6567 0.3381 0.8372
O 0.6845 0.7800 0.5456
O 0.7014 0.1331 0.5056
O 0.7848 0.6584 0.9446
O 0.7920 0.2755 0.6582
O 0.8522 0.1253 0.9661
O 0.8588 0.7534 0.7469
O 0.8688 0.8857 0.9333
O 0.8839 0.4704 0.5879
O 0.8918 0.9352 0.5957
O 0.9307 0.4691 0.9860
O 0.9490 0.1220 0.7525
O 0.9606 0.1772 0.4719
O 0.9889 0.6411 0.4425
O 0.9977 0.1813 0.1170

x:
VASP calculation (PBE) on Ti2O after structural relaxation.

a b c (Å): 10.9315 11.0754 11.5455
angles (deg): 89.16 89.28 85.66
Space group P1 (No. 1)
One atom of each set of equivalent atoms:
Ti 0.0000 0.0000 0.0000
Ti 0.0015 0.9123 0.3809
Ti 0.0314 0.2583 0.0701
Ti 0.0398 0.5358 0.4578
Ti 0.0592 0.4577 0.2249
Ti 0.0627 0.7350 0.1980
Ti 0.0786 0.4856 0.9508
Ti 0.1156 0.5511 0.6943
Ti 0.1204 0.9417 0.5892
Ti 0.1458 0.2402 0.4913
Ti 0.1625 0.9824 0.1670
Ti 0.1708 0.7805 0.7536
Ti 0.1728 0.2169 0.2548
Ti 0.1935 0.7408 0.9982
Ti 0.1959 0.7378 0.4525
Ti 0.1996 0.9891 0.8682
Ti 0.2225 0.3194 0.8107
Ti 0.2326 0.0116 0.4016
Ti 0.2858 0.1170 0.6530
Ti 0.2906 0.1557 0.0175
Ti 0.2939 0.5941 0.2224
Ti 0.3009 0.4150 0.0682
Ti 0.3066 0.3988 0.5795
Ti 0.3099 0.5529 0.8344
Ti 0.3422 0.6486 0.6316
Ti 0.3482 0.8224 0.2707
Ti 0.3737 0.8895 0.5746
Ti 0.3837 0.0613 0.2235
Ti 0.3880 0.8927 0.0342
Ti 0.3972 0.3396 0.2874
Ti 0.4162 0.1931 0.4666
Ti 0.4181 0.8102 0.8086
Ti 0.4576 0.6533 0.4111
Ti 0.4678 0.0595 0.8570
Ti 0.4951 0.3754 0.7211
Ti 0.5187 0.9625 0.3996
Ti 0.5270 0.6048 0.9445
Ti 0.5471 0.5117 0.1744
Ti 0.5635 0.0569 0.0683
Ti 0.5650 0.0722 0.6324
Ti 0.5659 0.4439 0.4418
Ti 0.5817 0.5961 0.6833
Ti 0.5867 0.3111 0.9734
Ti 0.5939 0.8206 0.1814
Ti 0.6361 0.8552 0.9366
Ti 0.6775 0.8236 0.6993
Ti 0.6846 0.0874 0.2773
Ti 0.7081 0.2506 0.5018
Ti 0.7098 0.7441 0.4162
Ti 0.7278 0.0741 0.8166
Ti 0.7358 0.3406 0.7559
Ti 0.7402 0.3216 0.2004
Ti 0.7644 0.9594 0.4987
Ti 0.7909 0.5150 0.5641
Ti 0.7921 0.6478 0.0906
Ti 0.8014 0.5957 0.7938
Ti 0.8043 0.1579 0.0311
Ti 0.8190 0.5516 0.3084
Ti 0.8243 0.4170 0.9970
Ti 0.8469 0.9008 0.1645
Ti 0.8744 0.1300 0.6295
Ti 0.9221 0.3314 0.3895
Ti 0.9270 0.7512 0.5769
Ti 0.9360 0.9272 0.7610
Ti 0.9396 0.1217 0.2445
Ti 0.9404 0.7535 0.9360
Ti 0.9558 0.2037 0.8415
Ti 0.9657 0.3598 0.6509
O 0.0576 0.3986 0.7941
O 0.0697 0.8650 0.8888
O 0.1211 0.6367 0.8543
O 0.1230 0.4155 0.5636
O 0.1399 0.5979 0.3212
O 0.1632 0.8576 0.3058
O 0.1779 0.3148 0.9804
O 0.2861 0.1412 0.8338
O 0.3359 0.2408 0.1655
O 0.3972 0.5654 0.0742
O 0.4079 0.5110 0.3361
O 0.4251 0.2361 0.6427
O 0.4285 0.9849 0.7080
O 0.4509 0.5029 0.5769
O 0.4663 0.1927 0.9754
O 0.4972 0.7628 0.6587
O 0.5322 0.7963 0.3437
O 0.5751 0.3633 0.2802
O 0.6179 0.0985 0.4584
O 0.6236 0.6179 0.5061
O 0.6460 0.1947 0.1327
O 0.6960 0.1882 0.6707
O 0.7391 0.4931 0.1587
O 0.7513 0.4216 0.4206
O 0.7551 0.7396 0.2453
O 0.7780 0.8120 0.0320
O 0.7996 0.2142 0.3404
O 0.8398 0.9855 0.3276
O 0.8578 0.7614 0.7562
O 0.8742 0.6382 0.4524
O 0.8966 0.5775 0.9514
O 0.9365 0.9494 0.5645
O 0.9450 0.6006 0.1939
O 0.9744 0.2296 0.5306

y:
VASP calculation (PBE) on Ti2O after structural relaxation.

a b c (Å): 11.0032 11.2795 11.3825
angles (deg): 88.86 89.37 83.85
Space group P1 (No. 1)
One atom of each set of equivalent atoms:
Ti 0.0000 0.0000 0.0000
Ti 0.9996 0.1545 0.2355
Ti 0.0079 0.4152 0.2529
Ti 0.0238 0.9697 0.4232
Ti 0.0491 0.7505 0.5340
Ti 0.0548 0.0446 0.7277
Ti 0.0732 0.4897 0.4911
Ti 0.0840 0.4458 0.9098
Ti 0.0911 0.2055 0.5184
Ti 0.0962 0.6347 0.7845
Ti 0.0974 0.7826 0.2619
Ti 0.1241 0.2148 0.0467
Ti 0.1290 0.7589 0.9934
Ti 0.1432 0.2394 0.7875
Ti 0.2078 0.4842 0.1005
Ti 0.2133 0.5578 0.3189
Ti 0.2433 0.2836 0.2753
Ti 0.2486 0.8096 0.7910
Ti 0.2539 0.0412 0.9126
Ti 0.2591 0.8824 0.5581
Ti 0.2638 0.4328 0.7050
Ti 0.2782 0.9996 0.1563
Ti 0.2921 0.6257 0.5750
Ti 0.3100 0.1346 0.6130
Ti 0.3146 0.3784 0.4769
Ti 0.3296 0.2854 0.9345
Ti 0.3354 0.7846 0.3498
Ti 0.3369 0.5823 0.8859
Ti 0.3451 0.6814 0.1303
Ti 0.4219 0.0887 0.3937
Ti 0.4342 0.9608 0.7500
Ti 0.4510 0.4623 0.0743
Ti 0.4657 0.8125 0.9495
Ti 0.4878 0.4857 0.3132
Ti 0.4922 0.2046 0.7445
Ti 0.5003 0.2392 0.1914
Ti 0.5231 0.6730 0.7294
Ti 0.5296 0.4305 0.6210
Ti 0.5419 0.8370 0.5424
Ti 0.5465 0.0361 0.9785
Ti 0.5506 0.9406 0.2160
Ti 0.5594 0.2785 0.4376
Ti 0.6109 0.6021 0.9427
Ti 0.6138 0.0635 0.5656
Ti 0.6432 0.6652 0.3776
Ti 0.6469 0.3333 0.9635
Ti 0.6630 0.8502 0.7846
Ti 0.6870 0.0995 0.3200
Ti 0.7120 0.6137 0.1531
Ti 0.7196 0.3509 0.2268
Ti 0.7373 0.4781 0.7567
Ti 0.7367 0.8394 0.0536
Ti 0.7604 0.8525 0.3614
Ti 0.7667 0.4506 0.4893
Ti 0.7725 0.1395 0.0852
Ti 0.7749 0.2439 0.6604
Ti 0.7799 0.6975 0.5833
Ti 0.7889 0.0162 0.8717
Ti 0.8451 0.6520 0.9066
Ti 0.8524 0.9716 0.6197
Ti 0.8651 0.4223 0.0385
Ti 0.8718 0.1777 0.4342
Ti 0.8972 0.2480 0.8754
Ti 0.8997 0.9511 0.2144
Ti 0.9133 0.6444 0.3575
Ti 0.9595 0.6483 0.1154
Ti 0.9673 0.8422 0.8047
Ti 0.9765 0.4063 0.6906
O 0.0032 0.8364 0.1069
O 0.0276 0.4705 0.0862
O 0.0610 0.1345 0.8986
O 0.1166 0.5885 0.6210
O 0.1213 0.9174 0.8772
O 0.1422 0.3491 0.6043
O 0.1628 0.8538 0.4098
O 0.1822 0.1414 0.2092
O 0.2448 0.8321 0.1760
O 0.2677 0.2002 0.4429
O 0.3063 0.7471 0.9607
O 0.3137 0.2593 0.7480
O 0.3588 0.5472 0.4252
O 0.3831 0.9489 0.3010
O 0.4057 0.9780 0.5615
O 0.4079 0.5466 0.7039
O 0.4177 0.1062 0.8739
O 0.4863 0.2908 0.0209
O 0.4887 0.7424 0.4169
O 0.5997 0.9655 0.4030
O 0.6015 0.2480 0.6145
O 0.6066 0.0878 0.1382
O 0.6524 0.7798 0.2276
O 0.6715 0.5084 0.3015
O 0.7025 0.8860 0.6042
O 0.7075 0.6601 0.7868
O 0.7139 0.3113 0.8113
O 0.7318 0.2924 0.3941
O 0.8480 0.5304 0.6241
O 0.8687 0.1156 0.7525
O 0.9015 0.3040 0.5557
O 0.9200 0.7689 0.6614
O 0.9248 0.4731 0.3958
O 0.9796 0.0778 0.5570

z:
VASP calculation (PBE) on Ti2O after structural relaxation.

a b c (Å): 4.6625 2.9516 8.2518
angles (deg): 90.00 92.09 90.00
Space group P2/m (No. 10)
One atom of each set of equivalent atoms:
Ti 0.2354 0.0000 0.0856
Ti 0.2458 0.0000 0.4284
Ti 0.2493 0.5000 0.7571
O 0.2070 0.5000 0.2586
O 0.5000 0.5000 0.0000

The energy of each structure relative to the most stable one, in meV per atom, is as follows: w 270; x 287; y 293; z 0.